Crystalline Nd2MgS4 at its relaxed geometry, computed with PBE.

extended XYZ file:
```
28
Lattice="14.001 0.000 0.000 0.000 8.230 0.000 0.000 0.000 6.653" Properties=species:S:1:pos:R:3 pbc="T T T"
Nd 0.000 0.000 0.000
Nd 0.000 4.115 0.000
Nd 3.228 2.057 3.318
Nd 3.772 6.172 6.644
Nd 7.000 0.000 3.327
Nd 7.000 4.115 3.327
Nd 10.229 2.057 0.009
Nd 10.772 6.172 3.336
Mg 1.298 6.172 2.813
Mg 5.703 2.057 6.140
Mg 8.298 6.172 0.514
Mg 12.703 2.057 3.841
S 0.929 2.057 4.939
S 1.297 6.172 5.231
S 2.344 4.255 1.661
S 2.344 8.089 1.661
S 4.656 0.140 4.987
S 4.656 3.975 4.987
S 5.703 2.057 1.904
S 6.071 6.172 1.613
S 7.930 2.057 5.041
S 8.298 6.172 4.750
S 9.345 4.255 1.666
S 9.345 8.089 1.666
S 11.656 0.140 4.993
S 11.656 3.975 4.993
S 12.703 2.057 1.423
S 13.071 6.172 1.714
```

The formation energy comes out at -2.115 eV per atom. Its energy above the most stable polymorph in this dataset is 3 meV/atom. The calculation puts the total magnetic moment at 0.0001 μB per atom. The calculated total energy is -5.783 eV/atom.

---

Crystalline Nd2MgS4 at its relaxed geometry, computed with PBE.

extended XYZ file:
```
56
Lattice="13.055 0.000 0.000 0.000 7.815 0.000 0.000 0.000 13.013" Properties=species:S:1:pos:R:3 pbc="T T T"
Nd 1.429 0.892 0.000
Nd 1.656 4.814 8.352
Nd 1.759 2.887 4.033
Nd 1.770 6.795 4.019
Nd 4.758 6.795 10.526
Nd 4.769 2.887 10.539
Nd 4.872 4.814 1.846
Nd 5.099 0.892 6.506
Nd 7.957 6.923 0.000
Nd 8.183 3.001 8.352
Nd 8.287 4.927 4.033
Nd 8.297 1.020 4.019
Nd 11.286 1.020 10.526
Nd 11.296 4.927 10.539
Nd 11.400 3.001 1.846
Nd 11.626 6.923 6.506
Mg 1.455 4.805 0.115
Mg 1.642 0.938 8.275
Mg 4.886 0.938 1.768
Mg 5.072 4.805 6.621
Mg 7.983 3.010 0.115
Mg 8.170 6.876 8.275
Mg 11.413 6.876 1.768
Mg 11.600 3.010 6.621
S 0.141 0.922 2.538
S 0.331 4.906 2.379
S 0.369 4.827 5.788
S 0.611 0.986 5.932
S 2.740 0.931 10.557
S 2.747 4.835 10.932
S 3.030 2.852 1.203
S 3.037 6.777 1.166
S 3.491 6.777 7.673
S 3.497 2.852 7.710
S 3.788 0.931 4.050
S 3.781 4.835 4.426
S 5.917 0.986 12.439
S 6.159 4.827 12.295
S 6.197 4.906 8.885
S 6.387 0.922 9.044
S 6.668 6.892 2.538
S 6.859 2.909 2.379
S 6.897 2.988 5.788
S 7.139 6.829 5.932
S 9.274 2.980 10.932
S 9.268 6.884 10.557
S 9.558 4.963 1.203
S 9.564 1.038 1.166
S 10.019 1.038 7.673
S 10.025 4.963 7.710
S 10.308 2.980 4.426
S 10.315 6.884 4.050
S 12.444 6.829 12.439
S 12.686 2.988 12.295
S 12.724 2.909 8.885
S 12.915 6.892 9.044
```

The formation energy comes out at -2.118 eV per atom. Its energy above the most stable polymorph in this dataset is 0 meV/atom. The calculation puts the total magnetic moment at 0.0000 μB per atom. The calculated total energy is -5.785 eV/atom.